{
  "formula": "Na8ZnSi4Ge3P2O24",
  "functional": "PBE",
  "state": "relaxed",
  "delta_e_f_ev_per_atom": -2.51,
  "magnetic_moment_mub_per_cell": 0.0,
  "lattice": [[8.845, -0.015, -0.014], [-4.435, 7.683, 0.016], [-0.038, 0.026, 21.639]],
  "species": ["O", "Si", "O", "Si", "O", "Zn", "O", "O", "O", "Si", "Si", "O", "Na", "O", "Na", "P", "O", "O", "Ge", "O", "Ge", "O", "O", "O", "Ge", "O", "O", "Si", "O", "O", "O", "O", "O", "O", "Na", "P", "Na", "Ge", "O", "Na", "P", "Ge", "O", "O", "P", "Na", "O", "O", "Na", "O", "O", "Na", "O", "O", "Si", "O", "O", "O", "O", "Zn", "Zn", "O", "Na", "Na", "O", "O", "Na", "Na", "Na", "O", "Si", "O", "O", "Si", "O", "Ge", "Na", "O", "O", "O", "O", "Na", "Si", "Na", "O", "P", "O", "O", "O", "Na", "O", "O", "Na", "Na", "O", "Si", "O", "Ge", "Na", "Ge", "O", "O", "O", "O", "Na", "Na", "P", "O", "O", "O", "O", "Si", "Na", "O", "O", "Na", "O", "O", "O", "O", "O", "O", "O", "Ge", "O", "Si"],
  "frac_coords": [[0.829, 0.540, 0.023], [0.005, 0.714, 0.753], [0.171, 0.698, 0.477], [0.375, 0.336, 0.083], [0.290, 0.829, 0.976], [0.006, 0.001, 0.353], [0.790, 0.830, 0.193], [0.690, 0.164, 0.750], [0.974, 0.184, 0.310], [0.338, 0.383, 0.419], [0.664, 0.038, 0.083], [0.464, 0.170, 0.522], [0.990, 0.627, 0.245], [0.711, 0.171, 0.023], [0.030, 0.338, 0.083], [0.706, 0.711, 0.252], [0.474, 0.154, 0.247], [0.891, 0.376, 0.640], [0.998, 0.987, 0.649], [0.460, 0.304, 0.749], [0.333, 0.667, 0.018], [0.533, 0.838, 0.475], [0.520, 0.812, 0.756], [0.839, 0.033, 0.812], [0.336, 0.675, 0.815], [0.146, 0.498, 0.575], [0.292, 0.466, 0.754], [0.664, 0.628, 0.584], [0.383, 0.510, 0.356], [0.846, 0.318, 0.247], [0.460, 0.289, 0.023], [0.837, 0.295, 0.525], [0.897, 0.513, 0.146], [0.347, 0.842, 0.574], [0.030, 0.698, 0.584], [0.279, 0.285, 0.751], [0.337, 0.671, 0.668], [0.329, 0.661, 0.316], [0.713, 0.546, 0.523], [0.702, 0.037, 0.917], [0.616, 0.955, 0.417], [0.333, 0.668, 0.519], [0.834, 0.525, 0.749], [0.350, 0.507, 0.074], [0.003, 0.293, 0.252], [0.964, 0.666, 0.917], [0.039, 0.209, 0.193], [0.179, 0.157, 0.090], [0.334, 0.299, 0.918], [0.843, 0.022, 0.090], [0.801, 0.959, 0.689], [0.307, 0.335, 0.586], [0.616, 0.103, 0.145], [0.488, 0.384, 0.146], [0.335, 0.958, 0.917], [0.160, 0.980, 0.910], [0.493, 0.843, 0.074], [0.049, 0.838, 0.690], [0.195, 0.169, 0.809], [0.665, 0.332, 0.684], [0.667, 0.333, 0.175], [0.498, 0.874, 0.358], [0.664, 0.971, 0.588], [0.988, 0.369, 0.750], [0.304, 0.822, 0.255], [0.517, 0.367, 0.422], [0.307, 0.970, 0.083], [0.632, 0.621, 0.748], [0.712, 0.674, 0.414], [0.815, 0.840, 0.912], [0.042, 0.659, 0.418], [0.851, 0.360, 0.922], [0.843, 0.824, 0.588], [0.961, 0.625, 0.083], [0.520, 0.701, 0.255], [0.995, 0.997, 0.855], [0.000, 0.000, 0.999], [0.171, 0.960, 0.193], [0.180, 0.028, 0.588], [0.796, 0.975, 0.414], [0.850, 0.476, 0.424], [0.334, 0.667, 0.163], [0.619, 0.665, 0.916], [0.381, 0.008, 0.747], [0.614, 0.508, 0.644], [0.292, 0.996, 0.252], [0.178, 0.478, 0.254], [0.492, 0.622, 0.855], [0.510, 0.151, 0.923], [0.322, 0.036, 0.416], [0.494, 0.107, 0.644], [0.157, 0.650, 0.074], [0.966, 0.290, 0.415], [0.669, 0.333, 0.831], [0.167, 0.193, 0.416], [0.046, 0.380, 0.916], [0.171, 0.463, 0.976], [0.664, 0.344, 0.482], [0.662, 0.693, 0.083], [0.667, 0.334, 0.981], [0.185, 0.699, 0.756], [0.164, 0.203, 0.692], [0.017, 0.826, 0.416], [0.131, 0.506, 0.855], [0.637, 0.010, 0.245], [0.003, 0.000, 0.497], [0.960, 0.334, 0.582], [0.978, 0.821, 0.090], [0.639, 0.490, 0.922], [0.492, 0.653, 0.574], [0.304, 0.476, 0.477], [0.375, 0.040, 0.583], [0.374, 0.363, 0.245], [0.814, 0.792, 0.310], [0.379, 0.876, 0.856], [0.667, 0.335, 0.330], [0.681, 0.529, 0.248], [0.630, 0.137, 0.422], [0.214, 0.026, 0.310], [0.027, 0.185, 0.911], [0.979, 0.170, 0.586], [0.536, 0.708, 0.976], [0.128, 0.621, 0.356], [0.000, 0.000, 0.144], [0.971, 0.807, 0.812], [0.713, 0.996, 0.752]]
}